# 1
VASP calculation (PBE) on a geometry-optimized K3ReC4N4O2 structure.

Properties
* E above lowest polymorph: 258 meV per atom

The structure in extended XYZ format:
```
14
Lattice="-5.245 -0.979 4.515 -1.793 -4.553 -6.954 6.358 -2.932 2.339" Properties=species:S:1:pos:R:3 pbc="T T T"
K -0.340 -4.232 -0.050
N -1.933 -3.660 -4.808
C 0.285 -6.954 -1.211
C -0.965 -1.510 1.111
N 1.253 -4.804 4.707
C -0.254 -6.640 1.541
C -0.425 -1.825 -1.641
O 2.985 -6.736 -5.044
O -3.665 -1.729 4.943
N -1.395 -2.374 1.791
Re 0.000 0.000 0.000
N 0.715 -6.090 -1.891
K -3.081 -5.316 -2.806
K 2.401 -3.148 2.705
```

# 2
VASP calculation (PBE) on a geometry-optimized KReC3SN3O structure.

The structure in extended XYZ format:
```
80
Lattice="-7.335 7.335 6.892 7.335 -7.335 6.892 7.335 7.335 -6.892" Properties=species:S:1:pos:R:3 pbc="T T T"
C 4.097 -4.083 6.302
N 2.760 3.021 6.444
C 0.416 0.429 2.856
C 6.124 2.181 2.815
K 5.634 3.610 -2.510
C 5.281 0.498 4.786
K 7.278 5.368 0.936
N 7.844 3.100 -0.589
C 2.054 -0.498 4.786
O 4.686 2.033 8.688
C 8.546 5.154 -4.077
O 8.969 1.018 5.242
K 0.057 1.967 5.956
N 5.526 7.864 0.957
N -0.646 0.908 2.998
N 6.768 3.159 2.857
C 3.169 1.614 -1.340
Re 5.009 7.749 4.186
K -1.701 3.610 2.510
N -4.197 9.193 4.404
C 5.848 4.879 6.261
S 12.803 0.549 -0.375
S 4.216 -1.800 3.071
N 6.768 -4.176 4.035
S 4.216 5.535 3.821
N 5.526 0.529 5.935
N 7.981 -0.908 2.998
Re 10.589 1.342 -0.740
O 4.686 9.368 -1.796
C 10.504 1.614 1.340
N 0.509 3.100 0.589
S 5.468 0.549 0.375
O 2.649 -2.033 8.688
N -3.138 5.476 4.404
N 11.531 -1.858 2.489
N 4.575 -3.021 6.444
S -5.468 6.786 7.267
K 9.035 3.725 4.382
K 7.278 -1.967 5.956
C 3.238 11.418 0.590
S 3.119 9.135 3.821
O 5.701 6.317 -1.650
C -3.169 5.721 5.552
Re 2.326 6.921 4.186
N -0.509 4.235 7.481
C -1.211 2.181 10.969
O 2.649 5.302 -1.796
N -0.646 8.243 3.894
C -1.486 4.879 7.523
C 8.821 2.456 -0.631
N 10.473 1.858 2.489
N 7.981 6.427 3.894
C 2.054 6.837 2.106
O -1.634 6.317 1.650
Re -3.254 5.993 7.632
S 1.867 6.786 6.517
N 2.760 10.356 0.448
K 0.057 9.302 0.936
N 1.809 -0.529 5.935
C 1.211 5.154 4.077
N 6.826 4.235 6.303
C 1.486 2.456 0.631
O 1.634 1.018 8.543
N 0.567 4.176 4.035
C 4.097 3.252 0.590
K 1.701 3.725 9.402
C 6.919 -0.429 2.856
Re 4.081 5.993 6.152
C 6.919 6.905 4.036
N 0.567 11.511 2.857
N 4.575 4.314 0.448
C 4.166 5.721 8.232
C 3.238 4.083 6.302
Re 2.326 -0.414 2.706
C 0.416 7.764 4.036
C 5.281 7.833 2.106
Re 3.254 1.342 0.740
N 1.809 6.806 0.957
Re 5.009 0.414 2.706
S 3.119 1.800 3.071
```

# 3
VASP calculation (PBE) on a geometry-optimized K2UC2S2NO8 structure.

The structure in extended XYZ format:
```
64
Lattice="0.000 -7.235 0.000 -11.676 0.000 0.676 0.015 0.000 -14.145" Properties=species:S:1:pos:R:3 pbc="T T T"
O -4.595 -1.220 -8.872
O -7.323 -6.396 -13.530
C -9.891 -3.892 -1.479
O -6.488 -1.817 -0.400
O -7.331 -4.456 -6.458
O -5.556 -0.157 -1.962
O -10.125 -4.390 -6.121
O -5.173 -5.418 -13.069
O -3.097 -5.507 -0.956
K -6.316 -4.742 -1.731
O -0.540 -5.742 -13.427
S -5.225 -2.339 -8.155
U -8.673 -2.611 -7.103
O -2.852 -6.941 -11.779
U -2.980 -6.229 -13.438
C -0.283 -0.650 -0.283
K -2.009 -3.099 -1.851
O -1.536 -2.845 -7.348
O -11.113 -2.124 -7.114
K -5.345 -2.493 -11.738
O -11.121 -1.493 -0.042
O -0.548 -5.111 -6.355
C -11.378 -6.585 -13.186
S -11.007 -6.079 -9.284
S -0.654 -1.156 -4.185
C -11.386 -4.267 -6.114
N -2.605 -6.849 -5.476
O -1.544 -0.773 -0.275
O -4.330 -2.779 -7.011
O -7.066 -6.015 -4.596
C -1.770 -3.343 -11.990
S -5.232 -1.279 -1.082
N -2.598 -4.003 -12.548
C -0.275 -2.968 -7.355
N -9.063 -3.232 -0.921
O -3.089 -5.346 -8.029
O -8.801 -3.324 -8.762
O -8.572 -1.889 -5.440
O -4.338 -0.839 0.061
K -5.353 -1.124 -4.666
U -8.681 -1.006 -0.031
C -1.778 -0.275 -4.918
S -0.646 -2.462 -11.257
O -5.181 -5.434 -5.996
S -6.436 -4.896 -5.314
S -11.015 -4.773 -2.211
S -6.428 -5.956 -12.386
K -9.659 -6.717 -4.545
N -9.055 -0.386 -7.993
O -5.548 -3.461 -9.034
O -6.105 -7.078 -11.507
O -8.809 -0.294 -1.690
O -10.117 -6.462 -13.193
O -6.480 -1.801 -7.472
O -7.058 -4.837 -11.668
U -2.987 -4.624 -6.366
O -6.112 -3.774 -4.435
O -4.603 -2.398 -1.800
K -2.002 -0.518 -8.923
O -2.860 -3.911 -4.707
O -8.564 -1.728 -12.512
C -9.883 -6.960 -8.551
K -6.308 -6.111 -8.803
K -9.651 -4.136 -11.618
```

# 4
VASP calculation (PBE) on a geometry-optimized K3TcC4N4O2 structure.

The structure in extended XYZ format:
```
14
Lattice="-2.498 -0.905 -5.954 0.109 -6.452 3.041 -4.655 4.321 4.249" Properties=species:S:1:pos:R:3 pbc="T T T"
C -5.076 -2.941 0.347
C -4.913 0.083 0.823
O -3.437 -1.276 -1.108
N -3.676 -0.175 -4.683
C -2.132 -3.118 0.513
N -5.664 0.985 0.891
Tc -3.522 -1.518 0.668
N -3.369 -2.860 6.019
N -1.381 -4.021 0.445
K -3.714 -3.856 -2.395
C -1.969 -0.094 0.989
O -3.608 -1.760 2.443
K -3.331 0.820 3.731
K -1.249 -0.452 -2.977
```

# 5
VASP calculation (PBE) on a geometry-optimized K2PtC4N4 structure.

The structure in extended XYZ format:
```
44
Lattice="-1.423 0.267 -6.983 -8.737 -2.206 1.696 -3.164 13.422 1.158" Properties=species:S:1:pos:R:3 pbc="T T T"
N -4.055 6.195 -5.530
N -6.215 1.245 -1.673
C -8.098 9.626 -2.289
N -7.371 3.262 -5.002
N -5.138 5.608 -1.690
K -5.966 7.400 -3.610
N -8.186 5.875 -2.439
C -9.189 6.459 1.452
N -7.109 10.239 -2.457
C -11.436 7.514 -1.689
Pt -9.056 8.437 1.502
Pt -3.557 2.913 -2.140
K -9.869 3.763 -3.662
C -4.135 5.024 -5.581
K -7.091 0.066 -4.369
C -4.554 4.605 -1.870
N -1.966 0.216 -2.543
N -9.639 2.376 -0.932
C -7.104 8.295 1.100
N -11.358 11.267 -1.587
K -7.358 4.084 -0.519
C -5.226 1.857 -1.841
N -5.953 8.221 0.872
C -6.220 3.189 -5.230
N -8.853 11.587 1.556
N -9.906 0.626 -4.587
N -3.418 10.857 0.457
Pt -4.268 3.047 -5.632
C -11.007 8.578 1.906
K -3.455 7.721 -0.468
C -4.400 1.069 -5.678
C -8.924 10.414 1.549
K -8.179 -0.522 -0.528
N -4.471 -0.103 -5.686
C -2.559 1.221 -2.406
K -5.145 12.005 -3.601
C -2.316 2.905 -6.036
K -6.233 11.417 0.239
Pt -9.767 8.570 -1.990
C -1.888 3.969 -2.441
C -8.770 6.878 -2.259
C -10.765 10.262 -1.724
N -3.685 9.107 -3.197
N -9.269 5.288 1.400
```

# 6
VASP calculation (PBE) on a geometry-optimized K2PtC4S4N4 structure.

The structure in extended XYZ format:
```
30
Lattice="-5.886 -0.889 -14.064 0.770 -4.404 -0.044 -9.727 -4.293 4.342" Properties=species:S:1:pos:R:3 pbc="T T T"
N -9.264 -3.800 -5.256
S -10.428 -3.928 -9.310
Pt -7.806 -2.591 -4.861
N -8.181 -6.514 -1.920
K -6.808 -4.109 -2.058
C -3.120 -4.806 -0.971
S -6.676 -3.623 1.478
K -1.220 -1.853 -2.498
C -10.440 -3.670 -4.977
S -8.167 -5.963 -11.243
S -4.510 -1.623 -8.962
C -11.722 -4.780 -8.794
Pt 0.000 0.000 0.000
S -10.332 -7.963 -0.803
C -7.606 -1.830 -11.998
N -8.267 -7.604 2.859
K -8.035 -5.477 -7.708
C -9.095 -7.120 -1.454
K -13.623 -7.733 -7.268
C -7.237 -7.756 2.233
C -4.403 -5.916 -4.788
N -6.661 -3.072 -7.846
N -2.175 -4.195 -1.360
S -3.658 -1.756 -5.104
N -6.576 -1.983 -12.624
S -11.184 -7.831 -4.661
S -4.415 -5.658 -0.455
C -5.748 -2.466 -8.311
N -12.667 -5.391 -8.405
N -5.578 -5.786 -4.509
```

no.,energy of formation (meV per atom),uncorrected energy (eV per cell)
1,-390,-100.02
2,90,-585.93
3,-2017,-459.74
4,-589,-100.71
5,-321,-322.56
6,-125,-187.04